(1)
Cu3SO8: optimized geometry, PBE.

a b c (Å): 7.995 5.909 12.665
angles (deg): 90.00 90.00 90.00
Space group Pnma (No. 62)
One atom of each set of equivalent atoms:
Cu 0.001 0.250 0.002 [4 per cell]
Cu 0.214 0.503 0.620 [8 per cell]
S 0.120 0.250 0.360 [4 per cell]
O 0.016 0.037 0.346 [8 per cell]
O 0.055 0.508 0.089 [8 per cell]
O 0.198 0.250 0.467 [4 per cell]
O 0.214 0.750 0.536 [4 per cell]
O 0.226 0.250 0.699 [4 per cell]
O 0.248 0.250 0.277 [4 per cell]

Results
Uncorrected energy: -5.280 eV/atom
Calculated volume: 598.29 Å³ per cell
Crystal system: orthorhombic
Calculated density: 3893 kg/m3
Formation enthalpy at 0 K: -1.070 eV per atom
Total energy after the MP2020 corrections: -5.74 eV/atom
Size of the total moment: 4.0 μB per cell



(2)
Cu4SO10: optimized geometry, PBE.

a b c (Å): 5.855 9.676 13.478
angles (deg): 90.00 103.36 90.00
Space group P2_1/c (No. 14)
One atom of each set of equivalent atoms:
Cu 0.018 0.009 0.284 [4 per cell]
Cu 0.195 0.245 0.146 [4 per cell]
Cu 0.303 0.749 0.350 [4 per cell]
Cu 0.481 0.510 0.216 [4 per cell]
S 0.334 0.213 0.917 [4 per cell]
O 0.042 0.628 0.330 [4 per cell]
O 0.064 0.634 0.882 [4 per cell]
O 0.152 0.172 0.972 [4 per cell]
O 0.203 0.591 0.164 [4 per cell]
O 0.243 0.581 0.736 [4 per cell]
O 0.282 0.142 0.815 [4 per cell]
O 0.322 0.134 0.396 [4 per cell]
O 0.423 0.133 0.619 [4 per cell]
O 0.428 0.676 0.525 [4 per cell]
O 0.459 0.129 0.173 [4 per cell]

Results
Uncorrected energy: -5.177 eV/atom
E above lowest polymorph: 0.000 eV/atom
Calculated volume: 742.92 Å³ per cell
Crystal system: monoclinic
Calculated density: 3990 kg/m3
Formation enthalpy at 0 K: -0.968 eV per atom
Total energy after the MP2020 corrections: -5.64 eV/atom
Size of the total moment: 8.0 μB per cell



(3)
Cu5S2O18: optimized geometry, PBE.

a b c (Å): 5.398 5.771 11.591
angles (deg): 85.62 77.01 89.26
Space group P-1 (No. 2)
One atom of each set of equivalent atoms:
Cu 0.000 0.000 0.000 [1 per cell]
Cu 0.000 0.000 0.500 [1 per cell]
Cu 0.000 0.500 0.000 [1 per cell]
Cu 0.497 0.750 0.001 [2 per cell]
S 0.299 0.325 0.713 [2 per cell]
O 0.087 0.487 0.697 [2 per cell]
O 0.128 0.706 0.511 [2 per cell]
O 0.136 0.762 0.914 [2 per cell]
O 0.245 0.099 0.379 [2 per cell]
O 0.258 0.264 0.845 [2 per cell]
O 0.283 0.113 0.651 [2 per cell]
O 0.289 0.487 0.065 [2 per cell]
O 0.289 0.996 0.064 [2 per cell]
O 0.452 0.560 0.331 [2 per cell]

Results
Uncorrected energy: -4.929 eV/atom
Calculated volume: 350.81 Å³ per cell
Crystal system: triclinic
Calculated density: 3171 kg/m3
Formation enthalpy at 0 K: -0.710 eV per atom
Total energy after the MP2020 corrections: -5.42 eV/atom
Size of the total moment: 9.0 μB per cell



(4)
Cu2SO4: optimized geometry, PBE.

a b c (Å): 4.606 5.903 7.852
angles (deg): 83.43 72.94 67.04
Space group P1 (No. 1)
One atom of each set of equivalent atoms:
Cu 0.000 0.000 0.000 [1 per cell]
Cu 0.141 0.490 0.717 [1 per cell]
Cu 0.395 0.986 0.212 [1 per cell]
Cu 0.752 0.485 0.505 [1 per cell]
S 0.451 0.488 0.112 [1 per cell]
S 0.686 0.991 0.611 [1 per cell]
O 0.244 0.651 0.995 [1 per cell]
O 0.283 0.334 0.232 [1 per cell]
O 0.368 0.149 0.722 [1 per cell]
O 0.489 0.651 0.233 [1 per cell]
O 0.654 0.842 0.485 [1 per cell]
O 0.773 0.333 0.994 [1 per cell]
O 0.860 0.144 0.487 [1 per cell]
O 0.903 0.832 0.731 [1 per cell]

Results
Uncorrected energy: -5.446 eV/atom
E above lowest polymorph: 0.021 eV/atom
Calculated volume: 187.94 Å³ per cell
Crystal system: triclinic
Calculated density: 3943 kg/m3
Formation enthalpy at 0 K: -1.249 eV per atom
Total energy after the MP2020 corrections: -5.84 eV/atom
Size of the total moment: 0.0 μB per cell



(5)
CuSO7: optimized geometry, PBE.

a b c (Å): 5.522 13.420 7.082
angles (deg): 90.00 96.57 90.00
Space group Cc (No. 9)
One atom of each set of equivalent atoms:
Cu 0.000 0.115 0.000 [4 per cell]
S 0.231 0.102 0.423 [4 per cell]
O 0.050 0.381 0.512 [4 per cell]
O 0.053 0.143 0.259 [4 per cell]
O 0.087 0.029 0.530 [4 per cell]
O 0.298 0.186 0.552 [4 per cell]
O 0.386 0.179 0.965 [4 per cell]
O 0.389 0.364 0.264 [4 per cell]
O 0.436 0.054 0.349 [4 per cell]

Results
Uncorrected energy: -5.129 eV/atom
Calculated volume: 521.40 Å³ per cell
Crystal system: monoclinic
Calculated density: 2645 kg/m3
Formation enthalpy at 0 K: -0.491 eV per atom
Total energy after the MP2020 corrections: -5.25 eV/atom
Size of the total moment: 10.0 μB per cell



(6)
Cu2SO4: optimized geometry, PBE.

a b c (Å): 4.606 10.871 15.014
angles (deg): 90.00 90.00 90.00
Space group Fddd (No. 70, origin choice 2)
One atom of each set of equivalent atoms:
Cu 0.125 0.125 0.323 [16 per cell]
S 0.125 0.125 0.625 [8 per cell]
O 0.060 0.297 0.934 [32 per cell]

Results
Uncorrected energy: -5.467 eV/atom
E above lowest polymorph: 0.000 eV/atom
Calculated volume: 751.75 Å³ per cell
Crystal system: orthorhombic
Calculated density: 3943 kg/m3
Formation enthalpy at 0 K: -1.270 eV per atom
Total energy after the MP2020 corrections: -5.86 eV/atom
Size of the total moment: 0.0 μB per cell



(7)
Cu4SO10: optimized geometry, PBE.

a b c (Å): 5.838 12.938 11.199
angles (deg): 90.00 121.37 90.00
Space group P2_1/c (No. 14)
One atom of each set of equivalent atoms:
Cu 0.115 0.211 0.491 [4 per cell]
Cu 0.133 0.138 0.758 [4 per cell]
Cu 0.372 0.644 0.747 [4 per cell]
Cu 0.385 0.714 0.010 [4 per cell]
S 0.086 0.092 0.207 [4 per cell]
O 0.001 0.671 0.625 [4 per cell]
O 0.015 0.198 0.139 [4 per cell]
O 0.166 0.537 0.334 [4 per cell]
O 0.220 0.660 0.093 [4 per cell]
O 0.236 0.612 0.866 [4 per cell]
O 0.239 0.112 0.363 [4 per cell]
O 0.255 0.109 0.635 [4 per cell]
O 0.259 0.037 0.170 [4 per cell]
O 0.457 0.239 0.084 [4 per cell]
O 0.498 0.667 0.624 [4 per cell]

Results
Uncorrected energy: -5.171 eV/atom
E above lowest polymorph: 0.006 eV/atom
Calculated volume: 722.19 Å³ per cell
Crystal system: monoclinic
Calculated density: 4104 kg/m3
Formation enthalpy at 0 K: -0.961 eV per atom
Total energy after the MP2020 corrections: -5.63 eV/atom
Size of the total moment: 8.0 μB per cell



(8)
CuSb6S2O16: optimized geometry, PBE.

a b c (Å): 5.636 7.813 9.428
angles (deg): 96.82 93.39 109.59
Space group P-1 (No. 2)
One atom of each set of equivalent atoms:
Cu 0.000 0.000 0.000 [1 per cell]
Sb 0.301 0.981 0.721 [2 per cell]
Sb 0.334 0.355 0.301 [2 per cell]
Sb 0.351 0.667 0.982 [2 per cell]
S 0.133 0.714 0.356 [2 per cell]
O 0.032 0.158 0.184 [2 per cell]
O 0.061 0.521 0.274 [2 per cell]
O 0.096 0.256 0.597 [2 per cell]
O 0.248 0.846 0.251 [2 per cell]
O 0.327 0.739 0.477 [2 per cell]
O 0.329 0.127 0.924 [2 per cell]
O 0.444 0.797 0.796 [2 per cell]
O 0.455 0.475 0.126 [2 per cell]

Results
Uncorrected energy: -5.965 eV/atom
Calculated volume: 386.17 Å³ per cell
Crystal system: triclinic
Calculated density: 4791 kg/m3
Formation enthalpy at 0 K: -1.752 eV per atom
Total energy after the MP2020 corrections: -6.41 eV/atom
Size of the total moment: 1.0 μB per cell



(9)
Sr3Sc2Cu2S2O5: optimized geometry, PBE.

a b c (Å): 4.096 4.096 26.158
angles (deg): 90.00 90.00 90.00
Space group I4/mmm (No. 139)
One atom of each set of equivalent atoms:
Sr 0.000 0.000 0.000 [2 per cell]
Sr 0.000 0.000 0.145 [4 per cell]
Sc 0.000 0.000 0.424 [4 per cell]
Cu 0.000 0.500 0.250 [4 per cell]
S 0.000 0.000 0.301 [4 per cell]
O 0.000 0.000 0.500 [2 per cell]
O 0.000 0.500 0.087 [8 per cell]

Results
Uncorrected energy: -6.616 eV/atom
Calculated volume: 438.93 Å³ per cell
Crystal system: tetragonal
Calculated density: 4721 kg/m3
Formation enthalpy at 0 K: -2.723 eV per atom
Total energy after the MP2020 corrections: -6.93 eV/atom
Size of the total moment: 0.0 μB per cell



(10)
SrCuSO: optimized geometry, PBE.

a b c (Å): 3.808 3.808 19.181
angles (deg): 90.00 90.00 90.00
Space group I4/mmm (No. 139)
One atom of each set of equivalent atoms:
Sr 0.000 0.000 0.081 [4 per cell]
Cu 0.000 0.500 0.250 [4 per cell]
S 0.000 0.000 0.322 [4 per cell]
O 0.000 0.500 0.000 [4 per cell]

Results
Uncorrected energy: -4.908 eV/atom
Calculated volume: 278.15 Å³ per cell
Crystal system: tetragonal
Calculated density: 4758 kg/m3
Formation enthalpy at 0 K: -1.487 eV per atom
Total energy after the MP2020 corrections: -5.21 eV/atom
Size of the total moment: 2.8 μB per cell



(11)
Sr2CuSO2: optimized geometry, PBE.

a b c (Å): 3.902 3.902 6.881
angles (deg): 90.00 90.00 90.00
Space group P4/mmm (No. 123)
One atom of each set of equivalent atoms:
Sr 0.000 0.000 0.249 [2 per cell]
Cu 0.500 0.500 0.000 [1 per cell]
S 0.500 0.500 0.500 [1 per cell]
O 0.000 0.500 0.000 [2 per cell]

Results
Uncorrected energy: -5.411 eV/atom
Calculated volume: 104.79 Å³ per cell
Crystal system: tetragonal
Calculated density: 4799 kg/m3
Formation enthalpy at 0 K: -2.139 eV per atom
Total energy after the MP2020 corrections: -5.72 eV/atom
Size of the total moment: 0.0 μB per cell



(12)
Y2CuTe2S2O14: optimized geometry, PBE.

a b c (Å): 5.219 7.988 8.247
angles (deg): 62.22 74.22 85.34
Space group P-1 (No. 2)
One atom of each set of equivalent atoms:
Y 0.074 0.251 0.018 [2 per cell]
Cu 0.000 0.000 0.500 [1 per cell]
Te 0.488 0.728 0.655 [2 per cell]
S 0.252 0.748 0.250 [2 per cell]
O 0.137 0.588 0.240 [2 per cell]
O 0.141 0.747 0.434 [2 per cell]
O 0.175 0.922 0.092 [2 per cell]
O 0.249 0.927 0.658 [2 per cell]
O 0.250 0.561 0.891 [2 per cell]
O 0.272 0.187 0.256 [2 per cell]
O 0.454 0.262 0.787 [2 per cell]

Results
Uncorrected energy: -6.620 eV/atom
Calculated volume: 292.36 Å³ per cell
Crystal system: triclinic
Calculated density: 4457 kg/m3
Formation enthalpy at 0 K: -2.275 eV per atom
Total energy after the MP2020 corrections: -7.08 eV/atom
Size of the total moment: 1.0 μB per cell



(13)
U2CuS2O22: optimized geometry, PBE.

a b c (Å): 6.865 8.981 9.368
angles (deg): 62.50 70.59 68.42
Space group P-1 (No. 2)
One atom of each set of equivalent atoms:
U 0.116 0.497 0.303 [2 per cell]
Cu 0.000 0.000 0.000 [1 per cell]
S 0.325 0.445 0.889 [2 per cell]
O 0.042 0.058 0.168 [2 per cell]
O 0.043 0.738 0.190 [2 per cell]
O 0.142 0.526 0.801 [2 per cell]
O 0.163 0.923 0.755 [2 per cell]
O 0.170 0.512 0.507 [2 per cell]
O 0.206 0.263 0.372 [2 per cell]
O 0.260 0.521 0.015 [2 per cell]
O 0.270 0.946 0.836 [2 per cell]
O 0.378 0.257 0.957 [2 per cell]
O 0.405 0.737 0.429 [2 per cell]
O 0.491 0.486 0.233 [2 per cell]

Results
Uncorrected energy: -6.210 eV/atom
Calculated volume: 467.06 Å³ per cell
Crystal system: triclinic
Calculated density: 3398 kg/m3
Formation enthalpy at 0 K: -0.884 eV per atom
Size of the total moment: 3.4 μB per cell